# Cs2AgIrF6 PBE optimized geometry
# Energy of formation (eV/atom): -2.172
# Total energy after the MP2020 corrections (eV per atom): -4.67
data_Cs2AgIrF6
_cell_length_a 6.415
_cell_length_b 6.415
_cell_length_c 6.415
_cell_angle_alpha 60.00
_cell_angle_beta 60.00
_cell_angle_gamma 60.00
_space_group_name_H-M_alt 'P 1'
_space_group_IT_number 1
_space_group_name_Hall 'P 1'
loop_
_atom_site_label
_atom_site_type_symbol
_atom_site_fract_x
_atom_site_fract_y
_atom_site_fract_z
Cs1 Cs 0.250 0.250 0.250
Cs2 Cs 0.750 0.750 0.750
Ag1 Ag 0.000 0.000 0.000
Ir1 Ir 0.500 0.500 0.500
F1 F 0.273 0.273 0.727
F2 F 0.273 0.727 0.273
F3 F 0.273 0.727 0.727
F4 F 0.727 0.273 0.273
F5 F 0.727 0.273 0.727
F6 F 0.727 0.727 0.273

---

# Cs2PrAgF6 PBE optimized geometry
# Energy of formation (eV/atom): -3.149
# Total energy after the MP2020 corrections (eV per atom): -5.24
data_Cs2PrAgF6
_cell_length_a 6.795
_cell_length_b 6.795
_cell_length_c 6.795
_cell_angle_alpha 60.00
_cell_angle_beta 60.00
_cell_angle_gamma 60.00
_space_group_name_H-M_alt 'P 1'
_space_group_IT_number 1
_space_group_name_Hall 'P 1'
loop_
_atom_site_label
_atom_site_type_symbol
_atom_site_fract_x
_atom_site_fract_y
_atom_site_fract_z
Cs1 Cs 0.250 0.250 0.250
Cs2 Cs 0.750 0.750 0.750
Pr1 Pr 0.000 0.000 0.000
Ag1 Ag 0.500 0.500 0.500
F1 F 0.240 0.240 0.760
F2 F 0.240 0.760 0.240
F3 F 0.240 0.760 0.760
F4 F 0.760 0.240 0.240
F5 F 0.760 0.240 0.760
F6 F 0.760 0.760 0.240

---

# Cs2GaAgI6 PBE optimized geometry
# Energy of formation (eV/atom): -1.035
# Total energy after the MP2020 corrections (eV per atom): -2.71
data_Cs2GaAgI6
_cell_length_a 8.340
_cell_length_b 8.340
_cell_length_c 8.340
_cell_angle_alpha 60.00
_cell_angle_beta 60.00
_cell_angle_gamma 60.00
_space_group_name_H-M_alt 'P 1'
_space_group_IT_number 1
_space_group_name_Hall 'P 1'
loop_
_atom_site_label
_atom_site_type_symbol
_atom_site_fract_x
_atom_site_fract_y
_atom_site_fract_z
Cs1 Cs 0.250 0.250 0.250
Cs2 Cs 0.750 0.750 0.750
Ga1 Ga 0.000 0.000 0.000
Ag1 Ag 0.500 0.500 0.500
I1 I 0.244 0.244 0.756
I2 I 0.244 0.756 0.244
I3 I 0.244 0.756 0.756
I4 I 0.756 0.244 0.244
I5 I 0.756 0.244 0.756
I6 I 0.756 0.756 0.244